Compound: CaMn4O8
Source: the Materials Project database
Functional: GGA+U
Structure: relaxed

Geometry as extended XYZ:
```
13
Lattice="5.8349 0.0000 0.0000 1.6201 5.6491 0.0000 2.7643 -0.7277 5.2446" Properties=species:S:1:pos:R:3 pbc="T T T"
Ca 0.0000 0.0000 0.0000
Mn 2.8772 2.2736 3.9147
Mn 4.4166 2.7816 1.3349
Mn 5.8027 2.1397 3.9097
Mn 7.3420 2.6478 1.3299
O 4.2554 1.1085 4.7509
O 2.9340 1.5919 2.0959
O 2.9223 3.8032 0.7033
O 4.3861 3.3760 3.4195
O 5.8331 1.5453 1.8251
O 7.2969 1.1181 4.5412
O 7.2852 3.3294 3.1486
O 5.9638 3.8128 0.4937
```

## Properties
- Total moment: 14.0 μB/cell
- Total energy: -7.2467 eV/atom
- Energy relative to the lowest polymorph listed for this composition: 0 meV per atom
- Formation energy from the elements: -2164 meV/atom